! RbTaPS6 (PBE, relaxed); values from VASP
&SYSTEM
  ibrav = 0, nat = 144, ntyp = 4
/
ATOMIC_SPECIES
Ta 180.95 Ta.upf
S 32.06 S.upf
Rb 85.47 Rb.upf
P 30.97 P.upf
CELL_PARAMETERS angstrom
-16.2436 6.9590 -3.5804
-5.2914 -13.3226 -1.8882
-5.3084 -4.9706 14.4226
ATOMIC_POSITIONS crystal
Ta 0.7769 0.1372 0.1948
Ta 0.8879 0.7482 0.7462
Ta 0.3879 0.7518 0.7538
Ta 0.2231 0.8628 0.8052
Ta 0.6121 0.2482 0.2462
Ta 0.7231 0.6372 0.6948
Ta 0.1121 0.2518 0.2538
Ta 0.2870 0.2926 0.7306
Ta 0.7870 0.2074 0.7694
Ta 0.2130 0.7926 0.2306
Ta 0.1222 0.3277 0.8355
Ta 0.3778 0.8277 0.3355
Ta 0.2769 0.3628 0.3052
Ta 0.8778 0.6723 0.1645
Ta 0.6222 0.1723 0.6645
Ta 0.7130 0.7074 0.2694
S 0.6019 0.6249 0.9466
S 0.3301 0.8996 0.1847
S 0.0108 0.3094 0.3312
S 0.6921 0.1680 0.5293
S 0.1085 0.8312 0.3162
S 0.6499 0.0745 0.2590
S 0.3835 0.1767 0.7163
S 0.3079 0.8320 0.4707
S 0.1019 0.8751 0.5534
S 0.8501 0.5745 0.7590
S 0.4570 0.8284 0.6049
S 0.5216 0.3865 0.2115
S 0.9570 0.6716 0.8951
S 0.6534 0.3534 0.3461
S 0.9410 0.8036 0.0418
S 0.8466 0.8534 0.8461
S 0.6085 0.6688 0.1838
S 0.3325 0.4240 0.5850
S 0.5430 0.1716 0.3951
S 0.2835 0.6856 0.3298
S 0.7862 0.6373 0.8332
S 0.8301 0.6004 0.3153
S 0.1499 0.4255 0.2410
S 0.6165 0.8233 0.2837
S 0.2349 0.4368 0.7745
S 0.9792 0.3850 0.5885
S 0.0216 0.1135 0.2885
S 0.7165 0.3144 0.6702
S 0.5208 0.8850 0.0885
S 0.9494 0.7802 0.2387
S 0.6699 0.1004 0.8153
S 0.2887 0.9116 0.9249
S 0.8079 0.6680 0.0293
S 0.9784 0.8865 0.7115
S 0.4494 0.7198 0.2613
S 0.0506 0.2198 0.7613
S 0.3386 0.4951 0.2384
S 0.7565 0.7763 0.3920
S 0.7651 0.5632 0.2255
S 0.1699 0.3996 0.6847
S 0.5108 0.1906 0.1688
S 0.2565 0.7237 0.1080
S 0.6363 0.7579 0.7375
S 0.0590 0.1964 0.9582
S 0.4892 0.8094 0.8312
S 0.6397 0.7047 0.5647
S 0.2862 0.8627 0.6668
S 0.8325 0.0760 0.9150
S 0.7113 0.0884 0.0751
S 0.6675 0.5760 0.4150
S 0.6614 0.5049 0.7616
S 0.3637 0.2421 0.2625
S 0.8603 0.2047 0.0647
S 0.7887 0.5884 0.5751
S 0.5426 0.0547 0.6710
S 0.8000 0.8114 0.6441
S 0.8981 0.1249 0.4466
S 0.2435 0.2237 0.6080
S 0.7000 0.3114 0.1441
S 0.4792 0.1150 0.9115
S 0.8637 0.2579 0.2375
S 0.0430 0.3284 0.1049
S 0.3603 0.2953 0.4353
S 0.1921 0.3320 0.9707
S 0.2113 0.4116 0.4249
S 0.2165 0.1856 0.8298
S 0.1675 0.9240 0.0850
S 0.1534 0.1466 0.1539
S 0.1397 0.7953 0.9353
S 0.5590 0.3036 0.5418
S 0.7435 0.2763 0.8920
S 0.8835 0.3233 0.7837
S 0.9574 0.5547 0.1710
S 0.1363 0.7421 0.7625
S 0.3915 0.3312 0.8162
S 0.2138 0.3627 0.1668
S 0.3466 0.6466 0.6539
S 0.7349 0.0632 0.7255
S 0.1165 0.6767 0.2163
S 0.0208 0.6150 0.4115
S 0.4574 0.9453 0.3290
S 0.8915 0.1688 0.6838
S 0.5506 0.2802 0.7387
S 0.1614 0.9951 0.7384
S 0.3981 0.3751 0.0534
S 0.3000 0.6886 0.8559
S 0.9892 0.6906 0.6688
S 0.2651 0.9368 0.2745
S 0.3501 0.9255 0.7410
S 0.2000 0.1886 0.3559
S 0.0426 0.4453 0.8290
S 0.8386 0.0049 0.2616
S 0.4410 0.6964 0.4582
S 0.4784 0.6135 0.7885
S 0.7835 0.8144 0.1702
S 0.7138 0.1373 0.3332
Rb 0.8276 0.3557 0.4772
Rb 0.3742 0.0531 0.4889
Rb 0.0676 0.1481 0.5446
Rb 0.4846 0.4890 0.3712
Rb 0.0154 0.9890 0.8712
Rb 0.6258 0.9469 0.5111
Rb 0.1258 0.5531 0.9889
Rb 0.6724 0.8557 0.9772
Rb 0.9846 0.0110 0.1288
Rb 0.5676 0.3519 0.9554
Rb 0.4324 0.6481 0.0446
Rb 0.1724 0.6443 0.5228
Rb 0.5154 0.5110 0.6288
Rb 0.3276 0.1443 0.0228
Rb 0.8742 0.4469 0.0111
Rb 0.9324 0.8519 0.4554
P 0.6104 0.2512 0.4514
P 0.8896 0.7512 0.9514
P 0.0587 0.8075 0.6677
P 0.7876 0.1599 0.9846
P 0.4552 0.2139 0.8022
P 0.2876 0.3401 0.5154
P 0.1104 0.2488 0.0486
P 0.3896 0.7488 0.5486
P 0.0448 0.7139 0.3022
P 0.5587 0.6925 0.8323
P 0.4413 0.3075 0.1677
P 0.2124 0.8401 0.0154
P 0.9552 0.2861 0.6978
P 0.5448 0.7861 0.1978
P 0.7124 0.6599 0.4846
P 0.9413 0.1925 0.3323
! E (MP2020) = -845.85 eV per cell
! Space-group type = No. 14
! Energy relative to the elements = -1.09 eV/atom

***

! YLuMg2 (PBE, relaxed); values from VASP
&SYSTEM
  ibrav = 0, nat = 4, ntyp = 3
/
ATOMIC_SPECIES
Lu 174.97 Lu.upf
Mg 24.30 Mg.upf
Y 88.91 Y.upf
CELL_PARAMETERS angstrom
0.7372 -5.0820 -1.4415
-2.7204 -2.0259 -4.1162
2.5203 -1.1398 -4.5604
ATOMIC_POSITIONS crystal
Lu 0.5000 0.5000 0.5000
Mg 0.7500 0.7500 0.7500
Mg 0.2500 0.2500 0.2500
Y 0.0000 0.0000 0.0000
! Space-group type = No. 225
! Energy relative to the elements = -0.08 eV/atom

***

! K2TaAgCl6 (PBE, relaxed); values from VASP
&SYSTEM
  ibrav = 0, nat = 10, ntyp = 4
/
ATOMIC_SPECIES
K 39.10 K.upf
Ag 107.87 Ag.upf
Cl 35.45 Cl.upf
Ta 180.95 Ta.upf
CELL_PARAMETERS angstrom
0.0000 5.1999 5.1999
5.1999 0.0000 5.1999
5.1999 5.1999 0.0000
ATOMIC_POSITIONS crystal
K 0.2500 0.2500 0.2500
K 0.7500 0.7500 0.7500
Ag 0.0000 0.0000 0.0000
Cl 0.7384 0.7384 0.2616
Cl 0.2616 0.2616 0.7384
Cl 0.2616 0.7384 0.7384
Cl 0.7384 0.2616 0.7384
Cl 0.7384 0.2616 0.2616
Cl 0.2616 0.7384 0.2616
Ta 0.5000 0.5000 0.5000
! E (MP2020) = -44.04 eV per cell
! Space-group type = No. 225
! Energy relative to the elements = -1.60 eV/atom

***

! CdBi2O4 (PBE, relaxed); values from VASP
&SYSTEM
  ibrav = 0, nat = 56, ntyp = 3
/
ATOMIC_SPECIES
O 16.00 O.upf
Cd 112.41 Cd.upf
Bi 208.98 Bi.upf
CELL_PARAMETERS angstrom
-7.3654 7.3654 4.7555
7.3654 -7.3654 4.7555
7.3654 7.3654 -4.7555
ATOMIC_POSITIONS crystal
O 0.1430 0.6430 0.2860
O 0.8953 0.9383 0.3508
O 0.7946 0.6453 0.4570
O 0.1070 0.8930 0.0000
O 0.4554 0.4124 0.3508
O 0.3326 0.0617 0.2709
O 0.3547 0.8117 0.1492
O 0.1883 0.3376 0.5430
O 0.3117 0.0826 0.7709
O 0.0617 0.4124 0.9570
O 0.3117 0.5407 0.2291
O 0.4554 0.1047 0.0430
O 0.8930 0.8930 0.7860
O 0.4593 0.6883 0.7709
O 0.1070 0.1070 0.2140
O 0.8930 0.1070 0.0000
O 0.9383 0.6674 0.7291
O 0.3570 0.8570 0.7140
O 0.6624 0.2054 0.8508
O 0.3547 0.2054 0.5430
O 0.7946 0.3376 0.1492
O 0.7907 0.0617 0.7291
O 0.1430 0.8570 0.5000
O 0.5876 0.5446 0.6492
O 0.1883 0.6453 0.8508
O 0.9383 0.2093 0.2709
O 0.9174 0.6883 0.2291
O 0.0617 0.1047 0.6492
O 0.8953 0.5446 0.9570
O 0.6624 0.8117 0.4570
O 0.3570 0.6430 0.5000
O 0.5876 0.9383 0.0430
Cd 0.1250 0.9843 0.3593
Cd 0.6250 0.9843 0.8593
Cd 0.0157 0.3750 0.1407
Cd 0.0157 0.8750 0.6407
Cd 0.2343 0.8750 0.8593
Cd 0.2343 0.3750 0.3593
Cd 0.1250 0.7657 0.1407
Cd 0.6250 0.7657 0.6407
Bi 0.2398 0.5987 0.6410
Bi 0.5920 0.4080 0.5000
Bi 0.0102 0.1513 0.8590
Bi 0.9577 0.5987 0.3590
Bi 0.8487 0.9898 0.1410
Bi 0.2923 0.1513 0.1410
Bi 0.8487 0.7077 0.8590
Bi 0.6580 0.3420 0.0000
Bi 0.4013 0.0423 0.6410
Bi 0.5920 0.0920 0.1841
Bi 0.9080 0.0920 0.5000
Bi 0.9080 0.4080 0.8159
Bi 0.4013 0.7602 0.3590
Bi 0.6580 0.6580 0.3159
Bi 0.3420 0.3420 0.6841
Bi 0.3420 0.6580 0.0000
! E (MP2020) = -315.07 eV per cell
! Space-group type = No. 141
! Energy relative to the elements = -1.56 eV/atom

***

! MgTi3S6 (PBE, relaxed); values from VASP
&SYSTEM
  ibrav = 0, nat = 10, ntyp = 3
/
ATOMIC_SPECIES
S 32.06 S.upf
Mg 24.30 Mg.upf
Ti 47.87 Ti.upf
CELL_PARAMETERS angstrom
3.4962 -0.0004 0.0002
-1.7485 3.0280 -0.0001
0.0007 -0.0002 19.1477
ATOMIC_POSITIONS crystal
S 0.6665 0.3333 0.9098
S 0.3333 0.6665 0.0634
S 0.3356 0.6670 0.4167
S 0.6688 0.3336 0.2716
S 0.6665 0.3334 0.5912
S 0.3334 0.6667 0.7447
Mg 0.0000 0.0000 0.8272
Ti 0.9996 0.0000 0.6584
Ti 0.9959 0.9995 0.3441
Ti 0.0001 0.9998 0.9962
! E (MP2020) = -65.95 eV per cell
! Energy relative to the lowest polymorph listed for this composition = 0.0000 eV per atom
! Space-group type = No. 1
! Energy relative to the elements = -1.58 eV/atom

***

Q: Which VASP energy values were calculated for the entries above? A: -5.5386; -3.6222; -4.0357; -5.2337; -6.2932, in eV/atom.